No. 1
VASP calculation (PBE with a Hubbard U) on a relaxed V3OF11 crystal.

a = 5.2593 Å, b = 5.4619 Å, c = 14.7515 Å
α = 100.27°, β = 90.03°, γ = 90.25°
Element x y z (fractional)
V (0.5000, 0.0000, 0.0000)
V (0.9746, 0.2081, 0.3365)
V (0.0254, 0.7919, 0.6635)
V (0.4917, 0.6782, 0.3324)
V (0.0000, 0.5000, 0.0000)
V (0.5083, 0.3218, 0.6676)
F (0.0736, 0.8937, 0.7828)
F (0.7084, 0.9779, 0.3583)
F (0.9063, 0.8027, 0.5517)
F (0.5897, 0.6168, 0.2159)
F (0.2065, 0.8594, 0.3092)
F (0.4145, 0.0423, 0.1176)
F (0.9264, 0.1063, 0.2172)
F (0.5770, 0.2963, 0.5486)
F (0.8030, 0.8111, 0.0250)
F (0.2864, 0.3632, 0.3091)
F (0.6966, 0.3114, 0.0245)
F (0.4103, 0.3832, 0.7841)
F (0.9127, 0.4611, 0.8825)
F (0.4230, 0.7037, 0.4514)
F (0.7136, 0.6368, 0.6909)
F (0.0937, 0.1973, 0.4483)
F (0.3034, 0.6886, 0.9755)
F (0.7935, 0.1406, 0.6908)
F (0.5855, 0.9577, 0.8824)
F (0.1970, 0.1889, 0.9750)
F (0.0873, 0.5389, 0.1175)
F (0.2916, 0.0221, 0.6417)
O (0.7953, 0.4593, 0.3563)
O (0.2047, 0.5407, 0.6437)

Results
- Space-group type: P-1, No. 2
- Calculated total energy: -5.7171 eV/atom
- DFT formation energy: -2891.0 meV/atom


No. 2
VASP calculation (PBE with a Hubbard U) on a relaxed CaV4CoCu2O12 crystal.

a = 6.4232 Å, b = 6.4232 Å, c = 6.4232 Å
α = 110.00°, β = 109.30°, γ = 109.12°
Element x y z (fractional)
O (0.1799, 0.6978, 0.8777)
O (0.6952, 0.5141, 0.8189)
O (0.3048, 0.4859, 0.1811)
O (0.6952, 0.8763, 0.1811)
O (0.4763, 0.1802, 0.2961)
O (0.8201, 0.3022, 0.1223)
O (0.5237, 0.8198, 0.7039)
O (0.8841, 0.1802, 0.7039)
O (0.1159, 0.8198, 0.2961)
O (0.8201, 0.6978, 0.5179)
O (0.1799, 0.3022, 0.4821)
O (0.3048, 0.1237, 0.8189)
V (0.0000, 0.0000, 0.5000)
V (0.5000, 0.5000, 0.5000)
V (0.5000, 0.0000, 0.0000)
V (0.0000, 0.5000, 0.0000)
Co (0.5000, 0.0000, 0.5000)
Cu (0.5000, 0.5000, 0.0000)
Cu (0.0000, 0.5000, 0.5000)
Ca (0.0000, 0.0000, 0.0000)

Results
- Space-group type: Immm, No. 71
- Calculated total energy: -6.9233 eV/atom
- DFT formation energy: -2106.2 meV/atom